# NdMgAg

Crystalline NdMgAg at its relaxed geometry (r²SCAN, Materials Project).

a = 7.799 Å, b = 7.799 Å, c = 4.275 Å
α = 90.00°, β = 90.00°, γ = 120.00°
Atoms (fractional coordinates):
Ag1 0.667 0.333 0.500
Nd1 0.585 0.000 0.000
Ag2 0.000 0.000 0.000
Nd2 0.415 0.415 0.000
Mg1 0.239 0.000 0.500
Ag3 0.333 0.667 0.500
Mg2 0.000 0.239 0.500
Nd3 0.000 0.585 0.000
Mg3 0.761 0.761 0.500

Summary:
As for the total energy: -18.577 eV per atom. The energy of formation from the pure elements comes out at -0.26 eV per atom.

---

# Ho2CoRu

Crystalline Ho2CoRu at its relaxed geometry (r²SCAN, Materials Project).

a = 4.758 Å, b = 4.758 Å, c = 4.758 Å
α = 60.00°, β = 60.00°, γ = 60.00°
Atoms (fractional coordinates):
Ho1 0.250 0.250 0.250
Ru1 0.500 0.500 0.500
Co1 0.000 0.000 0.000
Ho2 0.750 0.750 0.750

Summary:
As for the total energy: -26.383 eV per atom. The energy of formation from the pure elements comes out at -0.28 eV per atom.

---

# NdHg2

Crystalline NdHg2 at its relaxed geometry (r²SCAN, Materials Project).

a = 4.992 Å, b = 4.992 Å, c = 3.521 Å
α = 90.00°, β = 90.00°, γ = 120.00°
Atoms (fractional coordinates):
Hg1 0.667 0.333 0.500
Nd1 0.000 0.000 0.000
Hg2 0.333 0.667 0.500

Summary:
As for the total energy: -43.240 eV per atom. The energy of formation from the pure elements comes out at -0.52 eV per atom.

---

# Hg5NCl11

Crystalline Hg5NCl11 at its relaxed geometry (r²SCAN, Materials Project).

a = 6.201 Å, b = 9.328 Å, c = 9.328 Å
α = 102.83°, β = 105.14°, γ = 105.14°
Atoms (fractional coordinates):
N1 0.500 0.500 0.500
Cl1 0.000 0.500 0.500
Cl2 0.198 0.639 0.202
Cl3 0.588 0.676 0.928
Cl4 0.802 0.361 0.798
Cl5 0.107 0.850 0.850
Cl6 0.588 0.928 0.676
Hg1 0.805 0.140 0.482
Cl7 0.412 0.072 0.324
Cl8 0.198 0.202 0.639
Cl9 0.802 0.798 0.361
Hg2 0.500 0.000 0.000
Cl10 0.893 0.150 0.150
Hg3 0.195 0.860 0.518
Hg4 0.195 0.518 0.860
Cl11 0.412 0.324 0.072
Hg5 0.805 0.482 0.140

Summary:
As for the total energy: -19.306 eV per atom. The energy of formation from the pure elements comes out at -0.27 eV per atom.

---

# Eu2CdHg

Crystalline Eu2CdHg at its relaxed geometry (r²SCAN, Materials Project).

a = 5.513 Å, b = 5.513 Å, c = 5.513 Å
α = 60.00°, β = 60.00°, γ = 60.00°
Atoms (fractional coordinates):
Eu1 0.250 0.250 0.250
Hg1 0.500 0.500 0.500
Cd1 0.000 0.000 0.000
Eu2 0.750 0.750 0.750

Summary:
As for the total energy: -37.114 eV per atom. The energy of formation from the pure elements comes out at -0.49 eV per atom.

---

# Ba2YbBiO6

Crystalline Ba2YbBiO6 at its relaxed geometry (r²SCAN, Materials Project).

a = 10.450 Å, b = 8.555 Å, c = 6.040 Å
α = 134.95°, β = 149.95°, γ = 35.27°
Atoms (fractional coordinates):
O1 0.033 0.217 0.525
O2 0.967 0.783 0.475
O3 0.492 0.722 0.457
Ba1 0.499 0.751 0.000
Ba2 0.501 0.249 0.000
Bi1 0.000 0.000 0.000
O4 0.032 0.242 0.056
O5 0.508 0.278 0.543
Yb1 0.000 0.500 0.000
O6 0.968 0.758 0.944

Summary:
As for the total energy: -21.089 eV per atom. The energy of formation from the pure elements comes out at -2.70 eV per atom.

---

# Nd2Tc2O7

Crystalline Nd2Tc2O7 at its relaxed geometry (r²SCAN, Materials Project).

a = 7.391 Å, b = 7.391 Å, c = 7.391 Å
α = 60.00°, β = 60.00°, γ = 60.00°
Atoms (fractional coordinates):
O1 0.044 0.456 0.456
O2 0.206 0.794 0.794
O3 0.794 0.794 0.206
Tc1 0.125 0.625 0.125
Tc2 0.125 0.125 0.625
O4 0.794 0.206 0.794
O5 0.794 0.206 0.206
O6 0.456 0.044 0.044
O7 0.044 0.456 0.044
O8 0.500 0.500 0.500
Tc3 0.625 0.125 0.125
Nd1 0.625 0.625 0.125
Nd2 0.125 0.625 0.625
O9 0.044 0.044 0.456
Nd3 0.625 0.625 0.625
O10 0.206 0.794 0.206
O11 0.750 0.750 0.750
Tc4 0.125 0.125 0.125
O12 0.206 0.206 0.794
Nd4 0.625 0.125 0.625
O13 0.456 0.456 0.044
O14 0.456 0.044 0.456

Summary:
As for the total energy: -16.553 eV per atom. The energy of formation from the pure elements comes out at -2.68 eV per atom.

---

# ErMg5

Crystalline ErMg5 at its relaxed geometry (r²SCAN, Materials Project).

a = 8.693 Å, b = 8.693 Å, c = 5.267 Å
α = 90.00°, β = 90.00°, γ = 158.68°
Atoms (fractional coordinates):
Mg1 0.334 0.666 0.500
Er1 0.221 0.779 0.000
Mg2 0.893 0.107 0.000
Mg3 0.002 0.998 0.500
Mg4 0.663 0.337 0.500
Mg5 0.553 0.447 0.000

Summary:
As for the total energy: -9.103 eV per atom. The energy of formation from the pure elements comes out at 0.03 eV per atom.

---

# SrSb2O6

Crystalline SrSb2O6 at its relaxed geometry (r²SCAN, Materials Project).

a = 5.292 Å, b = 5.292 Å, c = 5.387 Å
α = 90.00°, β = 90.00°, γ = 120.00°
Atoms (fractional coordinates):
O1 0.000 0.623 0.705
Sb1 0.667 0.333 0.500
O2 0.623 0.623 0.295
O3 0.377 0.377 0.705
Sb2 0.333 0.667 0.500
O4 0.377 0.000 0.295
Sr1 0.000 0.000 0.000
O5 0.000 0.377 0.295
O6 0.623 0.000 0.705

Summary:
As for the total energy: -13.499 eV per atom. The energy of formation from the pure elements comes out at -2.12 eV per atom.

---

# MgGeAs2

Crystalline MgGeAs2 at its relaxed geometry (r²SCAN, Materials Project).

a = 5.959 Å, b = 5.959 Å, c = 6.971 Å
α = 115.30°, β = 115.30°, γ = 90.00°
Atoms (fractional coordinates):
As1 0.625 0.150 0.750
Ge1 0.750 0.250 0.500
Mg1 0.000 0.000 0.000
As2 0.850 0.875 0.250
Mg2 0.250 0.750 0.500
As3 0.400 0.375 0.250
Ge2 0.500 0.500 0.000
As4 0.125 0.600 0.750

Summary:
As for the total energy: -12.221 eV per atom. The energy of formation from the pure elements comes out at -0.36 eV per atom.

---

# K3Nb6VO19

Crystalline K3Nb6VO19 at its relaxed geometry (r²SCAN, Materials Project).

a = 9.205 Å, b = 9.205 Å, c = 24.266 Å
α = 90.00°, β = 90.00°, γ = 120.00°
Atoms (fractional coordinates):
O1 0.788 0.788 0.838
O2 0.177 0.177 0.753
O3 0.824 0.000 0.434
O4 0.712 0.712 0.500
O5 0.197 0.197 0.909
O6 0.180 0.000 0.659
O7 0.180 0.000 0.341
K1 0.597 0.000 0.000
O8 0.823 0.000 0.247
O9 0.517 0.834 0.176
O10 0.683 0.166 0.824
O11 0.517 0.834 0.824
Nb1 0.000 0.233 0.578
O12 0.697 0.522 0.592
K2 0.403 0.403 0.000
O13 0.483 0.171 0.921
Nb2 0.333 0.667 0.869
O14 0.175 0.478 0.592
O15 0.166 0.683 0.176
O16 0.000 0.823 0.753
O17 0.478 0.175 0.408
K3 0.405 0.000 0.259
O18 0.522 0.697 0.408
O19 0.667 0.333 0.687
O20 0.171 0.483 0.079
Nb3 0.243 0.243 0.175
Nb4 0.000 0.253 0.922
O21 0.820 0.820 0.341
Nb5 0.000 0.233 0.422
Nb6 0.243 0.243 0.825
Nb7 0.667 0.333 0.869
O22 0.303 0.825 0.592
O23 0.303 0.825 0.408
O24 0.175 0.478 0.408
K4 0.000 0.405 0.741
O25 0.166 0.683 0.824
Nb8 0.757 0.000 0.825
O26 0.000 0.206 0.000
O27 0.825 0.303 0.592
O28 0.317 0.483 0.176
Nb9 0.000 0.757 0.175
O29 0.825 0.303 0.408
O30 0.176 0.176 0.566
Nb10 0.233 0.000 0.578
O31 0.312 0.829 0.079
O32 0.829 0.312 0.921
O33 0.803 0.000 0.091
K5 0.000 0.405 0.259
O34 0.478 0.175 0.592
O35 0.177 0.177 0.247
Nb11 0.767 0.767 0.578
O36 0.212 0.000 0.838
O37 0.312 0.829 0.921
V1 0.333 0.667 0.381
O38 0.333 0.667 0.687
K6 0.583 0.000 0.500
O39 0.829 0.312 0.079
O40 0.683 0.166 0.176
Nb12 0.000 0.757 0.825
O41 0.000 0.803 0.909
K7 0.417 0.417 0.500
K8 0.595 0.595 0.259
O42 0.333 0.667 0.313
Nb13 0.667 0.333 0.131
O43 0.000 0.180 0.341
V2 0.333 0.667 0.619
K9 0.595 0.595 0.741
O44 0.000 0.803 0.091
Nb14 0.233 0.000 0.422
O45 0.697 0.522 0.408
V3 0.667 0.333 0.619
O46 0.517 0.688 0.921
Nb15 0.747 0.747 0.922
O47 0.206 0.000 0.000
Nb16 0.767 0.767 0.422
O48 0.197 0.197 0.091
O49 0.788 0.788 0.162
Nb17 0.000 0.000 0.302
O50 0.317 0.483 0.824
O51 0.000 0.824 0.566
Nb18 0.000 0.253 0.078
Nb19 0.333 0.667 0.131
K10 0.405 0.000 0.741
K11 0.000 0.583 0.500
O52 0.667 0.333 0.313
O53 0.834 0.517 0.824
Nb20 0.000 0.000 0.698
Nb21 0.253 0.000 0.922
O54 0.212 0.000 0.162
O55 0.824 0.000 0.566
O56 0.794 0.794 0.000
O57 0.000 0.180 0.659
O58 0.176 0.176 0.434
O59 0.834 0.517 0.176
O60 0.000 0.212 0.838
O61 0.820 0.820 0.659
K12 0.000 0.597 0.000
O62 0.288 0.000 0.500
O63 0.483 0.171 0.079
O64 0.688 0.517 0.079
O65 0.171 0.483 0.921
O66 0.823 0.000 0.753
O67 0.000 0.288 0.500
V4 0.667 0.333 0.381
O68 0.803 0.000 0.909
O69 0.000 0.212 0.162
O70 0.000 0.823 0.247
O71 0.483 0.317 0.176
Nb22 0.747 0.747 0.078
Nb23 0.757 0.000 0.175
O72 0.688 0.517 0.921
O73 0.000 0.824 0.434
Nb24 0.253 0.000 0.078
O74 0.522 0.697 0.592
O75 0.517 0.688 0.079
O76 0.483 0.317 0.824

Summary:
As for the total energy: -12.833 eV per atom. The energy of formation from the pure elements comes out at -2.69 eV per atom.

---

# KYb3

Crystalline KYb3 at its relaxed geometry (r²SCAN, Materials Project).

a = 6.319 Å, b = 6.319 Å, c = 6.319 Å
α = 131.80°, β = 131.80°, γ = 70.55°
Atoms (fractional coordinates):
Yb1 0.750 0.250 0.500
Yb2 0.250 0.750 0.500
Yb3 0.500 0.500 0.000
K1 0.000 0.000 0.000

Summary:
As for the total energy: -28.317 eV per atom. The excess energy over the best structure of this formula in the dataset comes out at 0 meV/atom. The energy of formation from the pure elements comes out at 0.58 eV per atom.

---

# VPO5

Crystalline VPO5 at its relaxed geometry (r²SCAN, Materials Project).

a = 6.185 Å, b = 6.185 Å, c = 4.217 Å
α = 90.00°, β = 90.00°, γ = 90.00°
Atoms (fractional coordinates):
P1 0.000 0.000 0.500
O1 0.701 0.512 0.712
O2 0.201 0.012 0.288
V1 0.500 0.000 0.377
O3 0.799 0.988 0.288
P2 0.500 0.500 0.500
O4 0.299 0.488 0.712
O5 0.000 0.500 0.245
O6 0.488 0.701 0.288
O7 0.012 0.799 0.712
O8 0.512 0.299 0.288
V2 0.000 0.500 0.623
O9 0.988 0.201 0.712
O10 0.500 0.000 0.755

Summary:
As for the total energy: -9.970 eV per atom. The excess energy over the best structure of this formula in the dataset comes out at 22 meV/atom. The energy of formation from the pure elements comes out at -2.41 eV per atom.

---

# CsMnBr3

Crystalline CsMnBr3 at its relaxed geometry (r²SCAN, Materials Project).

a = 7.659 Å, b = 7.659 Å, c = 6.525 Å
α = 90.00°, β = 90.00°, γ = 120.00°
Atoms (fractional coordinates):
Mn1 0.000 0.000 0.500
Br1 0.161 0.323 0.250
Br2 0.839 0.161 0.750
Mn2 0.000 0.000 0.000
Cs1 0.667 0.333 0.250
Br3 0.323 0.161 0.750
Cs2 0.333 0.667 0.750
Br4 0.839 0.677 0.750
Br5 0.677 0.839 0.250
Br6 0.161 0.839 0.250

Summary:
As for the total energy: -17.559 eV per atom. The energy of formation from the pure elements comes out at -1.65 eV per atom.

---

# SrSmB12

Crystalline SrSmB12 at its relaxed geometry (r²SCAN, Materials Project).

a = 4.144 Å, b = 4.144 Å, c = 8.299 Å
α = 90.00°, β = 90.00°, γ = 90.00°
Atoms (fractional coordinates):
B1 0.500 0.201 0.248
B2 0.500 0.500 0.901
B3 0.500 0.500 0.602
B4 0.500 0.799 0.248
Sr1 0.000 0.000 0.500
B5 0.799 0.500 0.248
B6 0.201 0.500 0.752
B7 0.799 0.500 0.752
B8 0.500 0.799 0.752
Sm1 0.000 0.000 0.000
B9 0.500 0.500 0.398
B10 0.500 0.201 0.752
B11 0.201 0.500 0.248
B12 0.500 0.500 0.099

Summary:
As for the total energy: -10.033 eV per atom. The energy of formation from the pure elements comes out at -0.53 eV per atom.

---

# ErZnPd

Crystalline ErZnPd at its relaxed geometry (r²SCAN, Materials Project).

a = 7.179 Å, b = 7.179 Å, c = 3.826 Å
α = 90.00°, β = 90.00°, γ = 120.00°
Atoms (fractional coordinates):
Pd1 0.000 0.000 0.000
Zn1 0.000 0.252 0.500
Zn2 0.252 0.000 0.500
Er1 0.404 0.404 0.000
Er2 0.596 0.000 0.000
Pd2 0.333 0.667 0.500
Zn3 0.748 0.748 0.500
Er3 0.000 0.596 0.000
Pd3 0.667 0.333 0.500

Summary:
As for the total energy: -22.713 eV per atom. The energy of formation from the pure elements comes out at -0.78 eV per atom.

---

# ErAgSe2

Crystalline ErAgSe2 at its relaxed geometry (r²SCAN, Materials Project).

a = 4.194 Å, b = 6.800 Å, c = 13.667 Å
α = 90.00°, β = 90.00°, γ = 90.00°
Atoms (fractional coordinates):
Er1 0.725 0.208 0.872
Se1 0.274 0.587 0.274
Se2 0.774 0.913 0.726
Ag1 0.507 0.708 0.874
Se3 0.731 0.487 0.027
Se4 0.269 0.987 0.473
Ag2 0.493 0.208 0.626
Se5 0.726 0.087 0.226
Se6 0.226 0.413 0.774
Se7 0.769 0.513 0.527
Ag3 0.007 0.792 0.126
Ag4 0.993 0.292 0.374
Er2 0.275 0.708 0.628
Er3 0.775 0.792 0.372
Er4 0.225 0.292 0.128
Se8 0.231 0.013 0.973

Summary:
As for the total energy: -22.383 eV per atom. The energy of formation from the pure elements comes out at -1.41 eV per atom.